[1]
Material: Tm2Pt2O7
Method: DFT, PBE-GGA
State: optimized geometry

abc: 10.201 10.201 10.201
angles: 90.00 90.00 90.00
Space group Fd-3m (No. 227, origin choice 2)
Unique sites:
Tm 0.000 0.000 0.000
Pt 0.000 0.000 0.500
O 0.094 0.375 0.875
O 0.125 0.125 0.125

Output
Energy of formation from the pure elements   -2.4912 eV per atom


[2]
Material: ZnPt3O4
Method: DFT, PBE-GGA
State: optimized geometry

abc: 5.809 5.809 5.809
angles: 90.00 90.00 90.00
Space group Pm-3n (No. 223)
Unique sites:
Zn 0.000 0.000 0.000
Pt 0.000 0.250 0.500
O 0.250 0.250 0.250

Output
Magnetic moment   0.000 μB per formula unit
Energy of formation from the pure elements   -0.7652 eV per atom


[3]
Material: Pu3O2
Method: DFT, PBE-GGA
State: optimized geometry

abc: 6.1771 6.1771 16.9161
angles: 90.00 90.00 120.00
Space group R-3c (No. 167, hexagonal axes)
Unique sites:
Pu 0.0000 0.3319 0.2500
O 0.0000 0.0000 0.1623

Output
Magnetic moment   18.123 μB per formula unit
Energy of formation from the pure elements   -2.1411 eV per atom


Number 1: total energy -626.6 eV/cell. Number 2: total energy -85.3 eV/cell. Number 3: total energy -372.2 eV/cell.